! PBE SmDyC4, optimized geometry; values from VASP
! Space group = C2/m (12)
! Energy of formation from the pure elements = -169 meV/atom
&SYSTEM
  ibrav = 0, nat = 6, ntyp = 3
/
ATOMIC_SPECIES
Sm 150.36 Sm.upf
Dy 162.50 Dy.upf
C 12.01 C.upf
CELL_PARAMETERS angstrom
3.6722 -1.8562 0.0000
3.6722 1.8562 0.0000
-3.4811 0.0000 6.4148
ATOMIC_POSITIONS angstrom
Sm 0.0000 0.0000 0.0000
Dy 1.9316 0.0000 3.2074
C -1.3219 0.0000 5.0849
C -0.2006 0.0000 4.4313
C 4.0638 0.0000 1.9834
C 5.1852 0.0000 1.3298


! PBE Dy3SnC, optimized geometry; values from VASP
! Space group = Pm-3m (221)
! Energy of formation from the pure elements = -628 meV/atom
&SYSTEM
  ibrav = 0, nat = 5, ntyp = 3
/
ATOMIC_SPECIES
Dy 162.50 Dy.upf
Sn 118.71 Sn.upf
C 12.01 C.upf
CELL_PARAMETERS angstrom
4.8904 0.0000 0.0000
0.0000 4.8904 0.0000
0.0000 0.0000 4.8904
ATOMIC_POSITIONS angstrom
Dy 0.0000 0.0000 2.4452
Dy 0.0000 2.4452 0.0000
Dy 2.4452 0.0000 0.0000
Sn 2.4452 2.4452 2.4452
C 0.0000 0.0000 0.0000


! PBE TbDyC4, optimized geometry; values from VASP
! Space group = C2/m (12)
! Energy of formation from the pure elements = -189 meV/atom
&SYSTEM
  ibrav = 0, nat = 6, ntyp = 3
/
ATOMIC_SPECIES
Tb 158.93 Tb.upf
Dy 162.50 Dy.upf
C 12.01 C.upf
CELL_PARAMETERS angstrom
3.6207 -1.8400 0.0000
3.6207 1.8400 0.0000
-3.4688 0.0000 6.3499
ATOMIC_POSITIONS angstrom
Tb 0.0000 0.0000 0.0000
Dy 1.8863 0.0000 3.1749
C -1.3505 0.0000 5.0886
C -0.2282 0.0000 4.4260
C 4.0008 0.0000 1.9239
C 5.1231 0.0000 1.2613


Q: Among the records above, which one has the lowest energy of formation from the pure elements?
A: Dy3SnC


Q: Among the records above, which one has the lowest energy of formation from the pure elements?
A: Dy3SnC


Q: What is the energy of formation from the pure elements in the second record?
A: -628 meV/atom